# 1
Entry from the Materials Project: a relaxed Cr3Ni2O12 crystal (PBE with a Hubbard U).

Properties
SG = No. 14
Total moment = 8.0 Bohr magnetons per cell
Uncorrected energy = -6.10 eV per atom

```
Cr3Ni2O12
1.0
8.6809 -0.0102 0.0000
-0.1781 12.3126 0.0000
0.0000 0.0000 9.0366
Cr Ni O
12 8 48
direct
0.0349 0.4894 0.2539
0.1087 0.8484 0.3785
0.1085 0.1411 0.1116
0.3913 0.6516 0.8785
0.3915 0.3589 0.6116
0.4651 0.0106 0.7539
0.5349 0.9894 0.2461
0.6085 0.6411 0.3884
0.6087 0.3484 0.1215
0.8915 0.8589 0.8884
0.8913 0.1516 0.6215
0.9651 0.5106 0.7461
0.2532 0.8859 0.0284
0.2468 0.6141 0.5284
0.2526 0.3813 0.9707
0.2474 0.1187 0.4707
0.7526 0.8813 0.5293
0.7474 0.6187 0.0293
0.7532 0.3859 0.4716
0.7468 0.1141 0.9716
0.0703 0.4494 0.8708
0.0767 0.9011 0.8856
0.0678 0.6125 0.6637
0.0685 0.1896 0.5766
0.0935 0.5858 0.3726
0.1201 0.8396 0.1916
0.1390 0.9753 0.4302
0.1282 0.2433 0.9947
0.1585 0.1791 0.2800
0.1845 0.4321 0.1747
0.2363 0.7711 0.4671
0.2637 0.7289 0.9671
0.2293 0.0424 0.0590
0.2707 0.4576 0.5590
0.3155 0.0679 0.6747
0.3415 0.3209 0.7800
0.3610 0.5247 0.9302
0.3718 0.2567 0.4947
0.3799 0.6604 0.6916
0.4065 0.9142 0.8726
0.4322 0.8875 0.1637
0.4233 0.5989 0.3856
0.4315 0.3104 0.0766
0.4297 0.0506 0.3708
0.5703 0.9494 0.6292
0.5685 0.6896 0.9234
0.5767 0.4011 0.6144
0.5678 0.1125 0.8363
0.5935 0.0858 0.1274
0.6201 0.3396 0.3084
0.6282 0.7433 0.5053
0.6390 0.4753 0.0698
0.6585 0.6791 0.2200
0.6845 0.9321 0.3253
0.7293 0.5424 0.4410
0.7707 0.9576 0.9410
0.7363 0.2711 0.0329
0.7637 0.2289 0.5329
0.8155 0.5679 0.8253
0.8415 0.8209 0.7200
0.8718 0.7567 0.0053
0.8610 0.0247 0.5698
0.8799 0.1604 0.8084
0.9065 0.4142 0.6274
0.9315 0.8104 0.4234
0.9322 0.3875 0.3363
0.9233 0.0989 0.1144
0.9297 0.5506 0.1292
```

=====

# 2
Entry from the Materials Project: a relaxed CrNiPO5 crystal (PBE with a Hubbard U).

Properties
SG = No. 15
Uncorrected energy = -6.99 eV per atom

```
CrNiPO5
1.0
-4.6782 2.1462 -1.5900
-2.6043 -3.1350 3.5228
-3.0641 3.8608 5.2310
Cr Ni P O
2 2 2 10
direct
0.5000 0.5000 0.0000
0.0000 0.0000 0.5000
0.5000 0.0000 0.5000
0.5000 0.0000 0.0000
0.8801 0.6199 0.2500
0.1199 0.3801 0.7500
0.6341 0.8659 0.7500
0.3659 0.1341 0.2500
0.2993 0.3173 0.8818
0.8173 0.7993 0.3818
0.7007 0.6827 0.1182
0.1827 0.2007 0.6182
0.8119 0.3117 0.3914
0.8117 0.3119 0.8914
0.1881 0.6883 0.6086
0.1883 0.6881 0.1086
```

=====

# 3
Entry from the Materials Project: a relaxed CrNi3P4O16 crystal (PBE with a Hubbard U).

Properties
SG = No. 6
Total moment = 2.0 Bohr magnetons per cell
Uncorrected energy = -6.55 eV per atom

```
CrNi3P4O16
1.0
5.7619 0.0000 0.0000
0.0000 4.7772 0.0000
0.0000 0.0165 9.9248
Cr Ni P O
1 3 4 16
direct
0.5000 0.9690 0.7286
0.0000 0.0392 0.2730
0.0000 0.4576 0.7724
0.5000 0.5413 0.2289
0.5000 0.0923 0.4046
0.5000 0.4009 0.9070
0.0000 0.5914 0.0962
0.0000 0.9178 0.5912
0.5000 0.1664 0.5562
0.2919 0.2404 0.3323
0.7081 0.2404 0.3323
0.0000 0.2341 0.6050
0.0000 0.2721 0.1088
0.2962 0.2464 0.8297
0.7038 0.2464 0.8297
0.5000 0.3329 0.0561
0.0000 0.6624 0.9460
0.7929 0.7405 0.1700
0.2071 0.7405 0.1700
0.5000 0.7175 0.8841
0.5000 0.7738 0.3939
0.7895 0.7764 0.6697
0.2105 0.7764 0.6697
0.0000 0.8237 0.4447
```

=====

# 4
Entry from the Materials Project: a relaxed Cr3NiP6O24 crystal (PBE with a Hubbard U).

Properties
SG = No. 146
Total moment = 4.0 Bohr magnetons per cell
Uncorrected energy = -6.92 eV per atom

```
Cr3NiP6O24
1.0
-8.1558 3.2652 -0.3679
-3.8585 1.8967 -7.6700
-6.7292 -4.7554 -3.0690
Cr Ni P O
3 1 6 24
direct
0.1424 0.1424 0.1424
0.3578 0.3578 0.3578
0.6427 0.6427 0.6427
0.8564 0.8564 0.8564
0.4658 0.7513 0.0331
0.7513 0.0331 0.4658
0.0331 0.4658 0.7513
0.9657 0.5322 0.2519
0.2519 0.9657 0.5322
0.5322 0.2519 0.9657
0.5015 0.2892 0.1341
0.1341 0.5015 0.2892
0.2846 0.9271 0.0562
0.2892 0.1341 0.5015
0.4258 0.5823 0.2192
0.6392 0.7618 0.0221
0.9271 0.0562 0.2846
0.5823 0.2192 0.4258
0.2192 0.4258 0.5823
0.9908 0.3627 0.2206
0.9492 0.7140 0.0782
0.2206 0.9908 0.3627
0.7618 0.0221 0.6392
0.0562 0.2846 0.9271
0.0221 0.6392 0.7618
0.7804 0.5618 0.4233
0.4233 0.7804 0.5618
0.0782 0.9492 0.7140
0.3627 0.2206 0.9908
0.5618 0.4233 0.7804
0.7226 0.8608 0.4933
0.7140 0.0782 0.9492
0.8608 0.4933 0.7226
0.4933 0.7226 0.8608
```

=====

# 5
Entry from the Materials Project: a relaxed Rb8Ti3Cr2Ni3P16O56 crystal (PBE with a Hubbard U).

Properties
SG = No. 1
Total moment = 12.0 Bohr magnetons per cell
Uncorrected energy = -7.05 eV per atom

```
Rb8Ti3Cr2Ni3P16O56
1.0
7.6591 -0.0870 -0.0021
-2.1913 8.0921 -0.0034
-0.0061 -0.0065 20.2491
Rb Ti Cr Ni P O
8 3 2 3 16 56
direct
0.1823 0.5512 0.4030
0.1910 0.5424 0.9048
0.1869 0.0612 0.3437
0.1917 0.0486 0.8424
0.8131 0.9634 0.1575
0.8097 0.9439 0.6563
0.8077 0.4371 0.0969
0.8134 0.4544 0.5969
0.2384 0.7587 0.2011
0.2388 0.2579 0.5505
0.7625 0.7414 0.9508
0.7592 0.7410 0.4483
0.7628 0.2403 0.7991
0.2378 0.7597 0.7008
0.2372 0.2594 0.0497
0.7609 0.2412 0.3014
0.1273 0.8325 0.0483
0.1270 0.8288 0.5478
0.1321 0.3293 0.2021
0.1286 0.3317 0.7027
0.4262 0.6885 0.0637
0.4310 0.6852 0.5655
0.5746 0.8124 0.3143
0.5673 0.8132 0.8160
0.4355 0.1841 0.1824
0.4303 0.1888 0.6867
0.5743 0.3158 0.4357
0.5651 0.3134 0.9323
0.8718 0.6686 0.2979
0.8681 0.6682 0.7984
0.8714 0.1678 0.4525
0.8681 0.1708 0.9511
0.0189 0.7732 0.2498
0.0058 0.7787 0.7532
0.0907 0.7566 0.1186
0.0786 0.7654 0.6173
0.0044 0.2736 0.9987
0.0159 0.2657 0.5028
0.1651 0.5211 0.2070
0.1400 0.5113 0.7056
0.0807 0.2687 0.1322
0.0947 0.2597 0.6311
0.3191 0.8045 0.0244
0.3181 0.7953 0.5256
0.1371 0.0111 0.0440
0.1604 0.0181 0.5420
0.3831 0.7628 0.2823
0.3732 0.7644 0.7925
0.3246 0.5128 0.0502
0.3221 0.5035 0.5513
0.4368 0.7449 0.1369
0.4447 0.7328 0.6378
0.3268 0.2988 0.2217
0.3233 0.3060 0.7251
0.3868 0.2696 0.4707
0.3740 0.2683 0.9587
0.3223 0.0016 0.1980
0.3267 0.0130 0.7002
0.5543 0.7524 0.3866
0.5715 0.7651 0.8908
0.4413 0.2264 0.1095
0.4335 0.2410 0.6124
0.6794 0.9881 0.3022
0.6785 0.9893 0.8013
0.6190 0.7312 0.5336
0.6194 0.7407 0.0340
0.6808 0.6975 0.2735
0.6708 0.6925 0.7786
0.5501 0.2620 0.3643
0.5640 0.2673 0.8586
0.6833 0.4931 0.4497
0.6744 0.4946 0.9480
0.6232 0.2260 0.2124
0.6259 0.2433 0.7123
0.8469 0.9841 0.4585
0.8434 0.9822 0.9560
0.6823 0.2022 0.4762
0.6727 0.1978 0.9712
0.9145 0.7486 0.3667
0.9046 0.7336 0.8712
0.8581 0.4889 0.2938
0.8540 0.4857 0.7953
0.9888 0.7314 0.4976
0.9804 0.7242 0.0017
0.9214 0.2425 0.3848
0.9124 0.2333 0.8798
0.9999 0.2334 0.2529
0.9853 0.2190 0.7476
```

=====

# 6
Entry from the Materials Project: a relaxed Cr2Ni3SbP6O24 crystal (PBE with a Hubbard U).

Properties
SG = No. 146
Total moment = 11.0 Bohr magnetons per cell
Uncorrected energy = -6.79 eV per atom

```
Cr2Ni3SbP6O24
1.0
-2.3352 3.0486 7.4897
2.1778 -4.3105 6.8935
5.9482 3.2431 4.9945
Cr Ni Sb P O
2 3 1 6 24
direct
0.9947 0.9947 0.9947
0.5002 0.5002 0.5002
0.8549 0.8549 0.8549
0.6438 0.6438 0.6438
0.3575 0.3575 0.3575
0.1440 0.1440 0.1440
0.2553 0.5517 0.9493
0.7440 0.4582 0.0500
0.4582 0.0500 0.7440
0.0500 0.7440 0.4582
0.9493 0.2553 0.5517
0.5517 0.9493 0.2553
0.8980 0.6791 0.4859
0.6791 0.4859 0.8980
0.9359 0.0962 0.7496
0.4859 0.8980 0.6791
0.9887 0.1787 0.3927
0.7474 0.4021 0.5615
0.7496 0.9359 0.0962
0.5615 0.7474 0.4021
0.8249 0.6031 0.0115
0.4021 0.5615 0.7474
0.9084 0.2458 0.0647
0.6031 0.0115 0.8249
0.3927 0.9887 0.1787
0.0962 0.7496 0.9359
0.5997 0.4327 0.2552
0.1787 0.3927 0.9887
0.4327 0.2552 0.5997
0.2458 0.0647 0.9084
0.2552 0.5997 0.4327
0.0115 0.8249 0.6031
0.5044 0.1041 0.3261
0.0647 0.9084 0.2458
0.3261 0.5044 0.1041
0.1041 0.3261 0.5044
```

=====

# 7
Entry from the Materials Project: a relaxed Cr3NiTe2P6O24 crystal (PBE with a Hubbard U).

Properties
SG = No. 146
Total moment = 10.0 Bohr magnetons per cell
Uncorrected energy = -6.93 eV per atom

```
Cr3NiTe2P6O24
1.0
-8.1878 2.1501 -2.4901
-2.5183 -0.4691 -8.4440
-5.7285 -6.1160 -2.7644
Cr Ni Te P O
3 1 2 6 24
direct
0.1437 0.1437 0.1437
0.3537 0.3537 0.3537
0.6473 0.6473 0.6473
0.8469 0.8469 0.8469
0.9875 0.9875 0.9875
0.4959 0.4959 0.4959
0.0409 0.7515 0.4585
0.4585 0.0409 0.7515
0.7515 0.4585 0.0409
0.2544 0.5373 0.9637
0.5373 0.9637 0.2544
0.9637 0.2544 0.5373
0.1208 0.2987 0.5118
0.2987 0.5118 0.1208
0.0659 0.9142 0.2603
0.5118 0.1208 0.2987
0.2365 0.5793 0.4320
0.0224 0.7979 0.6102
0.2603 0.0659 0.9142
0.4320 0.2365 0.5793
0.5793 0.4320 0.2365
0.1936 0.3893 0.9938
0.0843 0.7413 0.9392
0.3893 0.9938 0.1936
0.6102 0.0224 0.7979
0.9142 0.2603 0.0659
0.7979 0.6102 0.0224
0.4183 0.5653 0.7697
0.5653 0.7697 0.4183
0.7413 0.9392 0.0843
0.9938 0.1936 0.3893
0.7697 0.4183 0.5653
0.4893 0.8844 0.7003
0.9392 0.0843 0.7413
0.7003 0.4893 0.8844
0.8844 0.7003 0.4893
```

=====

# 8
Entry from the Materials Project: a relaxed Ti3Cr2NiP6O24 crystal (PBE with a Hubbard U).

Properties
SG = No. 146
Total moment = 10.0 Bohr magnetons per cell
Uncorrected energy = -7.66 eV per atom

```
Ti3Cr2NiP6O24
1.0
7.4589 -4.3167 0.0000
7.4589 4.3167 0.0000
4.9607 0.0000 7.0470
Ti Cr Ni P O
3 2 1 6 24
direct
0.1444 0.1444 0.1444
0.3546 0.3546 0.3546
0.6463 0.6463 0.6463
0.9973 0.9973 0.9973
0.4990 0.4990 0.4990
0.8562 0.8562 0.8562
0.4574 0.7522 0.0441
0.7522 0.0441 0.4574
0.9564 0.5442 0.2503
0.2503 0.9564 0.5442
0.5442 0.2503 0.9564
0.0441 0.4574 0.7522
0.4908 0.3190 0.1168
0.1168 0.4908 0.3190
0.2582 0.9138 0.0577
0.3190 0.1168 0.4908
0.6094 0.8099 0.0140
0.4310 0.5859 0.2376
0.9138 0.0577 0.2582
0.5859 0.2376 0.4310
0.0015 0.3801 0.1894
0.2376 0.4310 0.5859
0.9470 0.7362 0.0917
0.1894 0.0015 0.3801
0.8099 0.0140 0.6094
0.0577 0.2582 0.9138
0.7640 0.5548 0.4166
0.0140 0.6094 0.8099
0.4166 0.7640 0.5548
0.0917 0.9470 0.7362
0.5548 0.4166 0.7640
0.3801 0.1894 0.0015
0.6916 0.8788 0.5018
0.7362 0.0917 0.9470
0.8788 0.5018 0.6916
0.5018 0.6916 0.8788
```

=====

Please write out number 1 again, unchanged.
Entry from the Materials Project: a relaxed Cr3Ni2O12 crystal (PBE with a Hubbard U).

Properties
SG = No. 14
Total moment = 8.0 Bohr magnetons per cell
Uncorrected energy = -6.10 eV per atom

```
Cr3Ni2O12
1.0
8.6809 -0.0102 0.0000
-0.1781 12.3126 0.0000
0.0000 0.0000 9.0366
Cr Ni O
12 8 48
direct
0.0349 0.4894 0.2539
0.1087 0.8484 0.3785
0.1085 0.1411 0.1116
0.3913 0.6516 0.8785
0.3915 0.3589 0.6116
0.4651 0.0106 0.7539
0.5349 0.9894 0.2461
0.6085 0.6411 0.3884
0.6087 0.3484 0.1215
0.8915 0.8589 0.8884
0.8913 0.1516 0.6215
0.9651 0.5106 0.7461
0.2532 0.8859 0.0284
0.2468 0.6141 0.5284
0.2526 0.3813 0.9707
0.2474 0.1187 0.4707
0.7526 0.8813 0.5293
0.7474 0.6187 0.0293
0.7532 0.3859 0.4716
0.7468 0.1141 0.9716
0.0703 0.4494 0.8708
0.0767 0.9011 0.8856
0.0678 0.6125 0.6637
0.0685 0.1896 0.5766
0.0935 0.5858 0.3726
0.1201 0.8396 0.1916
0.1390 0.9753 0.4302
0.1282 0.2433 0.9947
0.1585 0.1791 0.2800
0.1845 0.4321 0.1747
0.2363 0.7711 0.4671
0.2637 0.7289 0.9671
0.2293 0.0424 0.0590
0.2707 0.4576 0.5590
0.3155 0.0679 0.6747
0.3415 0.3209 0.7800
0.3610 0.5247 0.9302
0.3718 0.2567 0.4947
0.3799 0.6604 0.6916
0.4065 0.9142 0.8726
0.4322 0.8875 0.1637
0.4233 0.5989 0.3856
0.4315 0.3104 0.0766
0.4297 0.0506 0.3708
0.5703 0.9494 0.6292
0.5685 0.6896 0.9234
0.5767 0.4011 0.6144
0.5678 0.1125 0.8363
0.5935 0.0858 0.1274
0.6201 0.3396 0.3084
0.6282 0.7433 0.5053
0.6390 0.4753 0.0698
0.6585 0.6791 0.2200
0.6845 0.9321 0.3253
0.7293 0.5424 0.4410
0.7707 0.9576 0.9410
0.7363 0.2711 0.0329
0.7637 0.2289 0.5329
0.8155 0.5679 0.8253
0.8415 0.8209 0.7200
0.8718 0.7567 0.0053
0.8610 0.0247 0.5698
0.8799 0.1604 0.8084
0.9065 0.4142 0.6274
0.9315 0.8104 0.4234
0.9322 0.3875 0.3363
0.9233 0.0989 0.1144
0.9297 0.5506 0.1292
```

=====

- Which value of uncorrected energy does entry 1 give?
  -6.10 eV per atom

=====

- Which formula does entry 1 have?
  Cr3Ni2O12

=====

- Among the records above, which one has the lowest uncorrected energy?
  Ti3Cr2NiP6O24